[1]
Below is a geometry-optimized NdZnB5O10 structure, with properties calculated at the PBE level.

Summary:
**Crystal system**: monoclinic

Structure (CIF):
```
data_NdZnB5O10
_space_group_name_H-M_alt 'P 1 21/c 1'
_space_group_IT_number 14
_cell_length_a 8.7824
_cell_length_b 7.6938
_cell_length_c 12.6467
_cell_angle_alpha 90.00
_cell_angle_beta 131.17
_cell_angle_gamma 90.00
loop_
_space_group_symop_operation_xyz
'x,y,z'
'-x,-y,-z'
'-x,y+1/2,-z+1/2'
'x,-y+1/2,z+1/2'
loop_
_atom_site_label
_atom_site_type_symbol
_atom_site_fract_x
_atom_site_fract_y
_atom_site_fract_z
Nd1 Nd 0.0532 0.1840 0.2367
Zn1 Zn 0.4862 0.5887 0.8766
B1 B 0.0918 0.6739 0.6074
B2 B 0.1534 0.5984 0.0002
B3 B 0.2732 0.0321 0.0543
B4 B 0.3475 0.5787 0.2618
B5 B 0.4842 0.1856 0.9143
O1 O 0.0277 0.7261 0.9853
O2 O 0.0884 0.1064 0.9173
O3 O 0.1168 0.5465 0.8834
O4 O 0.2030 0.7121 0.2337
O5 O 0.2325 0.5270 0.6467
O6 O 0.3132 0.5350 0.1316
O7 O 0.3209 0.0856 0.8084
O8 O 0.3220 0.6254 0.5093
O9 O 0.4313 0.1538 0.4313
O10 O 0.4473 0.1503 0.1324
```

---

[2]
Below is a geometry-optimized NdB4Os4 structure, with properties calculated at the PBE level.

Summary:
**Crystal system**: tetragonal

Structure (CIF):
```
data_NdB4Os4
_space_group_name_H-M_alt 'P 42/n'
_space_group_IT_number 86
_cell_length_a 7.6282
_cell_length_b 7.6282
_cell_length_c 4.0077
_cell_angle_alpha 90.00
_cell_angle_beta 90.00
_cell_angle_gamma 90.00
loop_
_space_group_symop_operation_xyz
'x,y,z'
'-x,-y,-z'
'-y,x+1/2,z+1/2'
'y,-x+1/2,-z+1/2'
'-x+1/2,-y+1/2,z'
'x+1/2,y+1/2,-z'
'y+1/2,-x,z+1/2'
'-y+1/2,x,-z+1/2'
loop_
_atom_site_label
_atom_site_type_symbol
_atom_site_fract_x
_atom_site_fract_y
_atom_site_fract_z
Nd1 Nd 0.2500 0.2500 0.2500
B1 B 0.0306 0.5857 0.1390
Os1 Os 0.1039 0.8566 0.1377
```

---

[3]
Below is a geometry-optimized NdBPt3 structure, with properties calculated at the PBE level.

Summary:
**Crystal system**: tetragonal

Structure (CIF):
```
data_NdBPt3
_space_group_name_H-M_alt 'P 4 m m'
_space_group_IT_number 99
_cell_length_a 4.0502
_cell_length_b 4.0502
_cell_length_c 5.1001
_cell_angle_alpha 90.00
_cell_angle_beta 90.00
_cell_angle_gamma 90.00
loop_
_space_group_symop_operation_xyz
'x,y,z'
'-y,x,z'
'-x,-y,z'
'y,-x,z'
'-x,y,z'
'y,x,z'
'x,-y,z'
'-y,-x,z'
loop_
_atom_site_label
_atom_site_type_symbol
_atom_site_fract_x
_atom_site_fract_y
_atom_site_fract_z
Nd1 Nd 0.0000 0.0000 0.0000
B1 B 0.5000 0.5000 0.7013
Pt1 Pt 0.0000 0.5000 0.5163
Pt2 Pt 0.5000 0.5000 0.1134
```

---

[4]
Below is a geometry-optimized NdBPt2 structure, with properties calculated at the PBE level.

Summary:
**Crystal system**: hexagonal

Structure (CIF):
```
data_NdBPt2
_space_group_name_H-M_alt 'P 62 2 2'
_space_group_IT_number 180
_space_group_name_Hall 'P 62 2 (0 0 4)'
_cell_length_a 5.4789
_cell_length_b 5.4789
_cell_length_c 8.0446
_cell_angle_alpha 90.00
_cell_angle_beta 90.00
_cell_angle_gamma 120.00
loop_
_atom_site_label
_atom_site_type_symbol
_atom_site_fract_x
_atom_site_fract_y
_atom_site_fract_z
Nd1 Nd 0.0000 0.5000 0.1667
B1 B 0.0000 0.5000 0.6667
Pt1 Pt 0.1537 0.3075 0.5000
```

---

These records have formation enthalpy at 0 K values of -49.7; -3.4; -4.3; -3.7 eV/f.u., in the order they appear.